{
  "formula": "SiO2",
  "functional": "r²SCAN",
  "state": "relaxed",
  "cell": [[5.069, 0.000, 0.000], [-2.535, 4.390, 0.000], [0.000, 0.000, 8.558]],
  "species": ["Si", "Si", "Si", "Si", "O", "O", "O", "O", "O", "O", "O", "O"],
  "fractional_positions": [[0.333, 0.667, 0.063], [0.333, 0.667, 0.437], [0.667, 0.333, 0.563], [0.667, 0.333, 0.937], [0.000, 0.421, 0.000], [0.000, 0.579, 0.500], [0.333, 0.667, 0.250], [0.421, 0.000, 0.000], [0.421, 0.421, 0.500], [0.579, 0.000, 0.500], [0.579, 0.579, 0.000], [0.667, 0.333, 0.750]],
  "formation_enthalpy_0k_ev_per_atom": -3.0266,
  "total_magnetization_mub_per_fu": 0.0,
  "space_group": "P6_322"
}